[1]
Compound: NiS2O9
Source: the Materials Project
Functional: PBE with a Hubbard U
Structure: relaxed

Results
* total energy after the MP2020 corrections: -5.483 eV per atom
* theoretical density: 1.89 g/cm3
* calculated formation energy: -0.60 eV per atom

Geometry as CIF:
```
data_NiS2O9
_space_group_name_H-M_alt 'P n m a'
_space_group_IT_number 62
_cell_length_a 10.234
_cell_length_b 14.039
_cell_length_c 6.512
_cell_angle_alpha 90.00
_cell_angle_beta 90.00
_cell_angle_gamma 90.00
loop_
_space_group_symop_operation_xyz
'x,y,z'
'-x,-y,-z'
'-x+1/2,-y,z+1/2'
'x+1/2,y,-z+1/2'
'x+1/2,-y+1/2,-z+1/2'
'-x+1/2,y+1/2,z+1/2'
'-x,y+1/2,-z'
'x,-y+1/2,z'
loop_
_atom_site_label
_atom_site_type_symbol
_atom_site_fract_x
_atom_site_fract_y
_atom_site_fract_z
Ni1 Ni 0.000 0.000 0.000
S1 S 0.002 0.250 0.420
S2 S 0.187 0.750 0.064
O1 O 0.031 0.661 0.482
O2 O 0.072 0.250 0.230
O3 O 0.136 0.033 0.172
O4 O 0.150 0.073 0.988
O5 O 0.168 0.661 0.953
```



[2]
Compound: V4CuO11
Source: the Materials Project
Functional: PBE with a Hubbard U
Structure: relaxed

Results
* total energy after the MP2020 corrections: -8.019 eV per atom
* theoretical density: 3.79 g/cm3
* calculated formation energy: -2.09 eV per atom

Geometry as CIF:
```
data_V4CuO11
_space_group_name_H-M_alt 'C 1 m 1'
_space_group_IT_number 8
_cell_length_a 15.179
_cell_length_b 3.603
_cell_length_c 7.379
_cell_angle_alpha 90.00
_cell_angle_beta 105.67
_cell_angle_gamma 90.00
loop_
_space_group_symop_operation_xyz
'x,y,z'
'x,-y,z'
'x+1/2,y+1/2,z'
'x+1/2,-y+1/2,z'
loop_
_atom_site_label
_atom_site_type_symbol
_atom_site_fract_x
_atom_site_fract_y
_atom_site_fract_z
V1 V 0.000 0.000 0.000
V2 V 0.050 0.500 0.669
V3 V 0.281 0.500 0.989
V4 V 0.338 0.000 0.672
Cu1 Cu 0.166 0.500 0.326
O1 O 0.040 0.000 0.738
O2 O 0.082 0.500 0.470
O3 O 0.102 0.000 0.169
O4 O 0.169 0.500 0.836
O5 O 0.238 0.000 0.504
O6 O 0.257 0.500 0.199
O7 O 0.301 0.000 0.927
O8 O 0.351 0.500 0.751
O9 O 0.419 0.500 0.119
O10 O 0.421 0.000 0.549
O11 O 0.491 0.000 0.918
```